Compound: MgCoO2
Source: Materials Project
Functional: PBE with a Hubbard U
Structure: optimized geometry

ΔE_f in eV per atom: -1.962
Space group: P-1, No. 2
Calculated volume in A^3/atom: 12.2

```
data_MgCoO2
_chemical_formula_sum 'Mg4 Co4 O8'
_cell_length_a 3.040
_cell_length_b 8.022
_cell_length_c 8.162
_cell_angle_alpha 86.42
_cell_angle_beta 88.96
_cell_angle_gamma 79.38
_space_group_name_H-M_alt 'P 1'
_space_group_IT_number 1
loop_
_space_group_symop_operation_xyz
'x,y,z'
loop_
_atom_site_label
_atom_site_fract_x
_atom_site_fract_y
_atom_site_fract_z
O1 0.604 0.282 0.093
Mg1 0.148 0.209 0.947
O2 0.921 0.626 0.253
Co1 0.366 0.727 0.362
Co2 0.693 0.075 0.271
O3 0.738 0.057 0.814
O4 0.396 0.718 0.907
Co3 0.634 0.273 0.638
Mg2 0.951 0.622 0.750
Co4 0.307 0.925 0.729
O5 0.596 0.267 0.406
O6 0.404 0.733 0.594
O7 0.262 0.943 0.186
O8 0.079 0.374 0.747
Mg3 0.049 0.378 0.250
Mg4 0.852 0.791 0.053
```